a | Entry from Materials Project: a geometry-optimized Rb4CO4 structure (PBE).

abc: 6.4548 6.4548 6.1113
angles: 66.89 66.89 55.13
Sites, in units of the cell vectors:
1 Rb 0.1513 0.5516 0.4610
2 Rb 0.8407 0.4375 0.1178
3 Rb 0.4484 0.8487 0.5390
4 Rb 0.5625 0.1593 0.8822
5 O 0.2901 0.8732 0.0678
6 O 0.8467 0.9864 0.2037
7 O 0.0136 0.1533 0.7963
8 O 0.1268 0.7099 0.9322
9 C 0.0714 0.9286 0.0000

Properties
space-group type = C2 (5)
spin magnetization = 0.000 μB per atom

=====

b | Entry from Materials Project: a geometry-optimized Rb4CO4 structure (PBE).

abc: 6.2431 6.2431 5.9065
angles: 81.98 81.98 112.30
Sites, in units of the cell vectors:
1 Rb 0.3337 0.8512 0.8889
2 Rb 0.8512 0.3337 0.8889
3 Rb 0.1113 0.1113 0.4454
4 Rb 0.6345 0.6345 0.2565
5 O 0.3258 0.3258 0.9901
6 O 0.5140 0.2885 0.6324
7 O 0.2885 0.5140 0.6324
8 O 0.6543 0.6543 0.7516
9 C 0.4453 0.4453 0.7528

Properties
space-group type = Cm (8)
spin magnetization = 0.000 μB per atom

=====

The energetic minimum among the shown structures is a; the next structure lies 1.8 kJ/mol of atoms above.